Record 1
# Er2MgGa | Materials Project | PBE | relaxed
data_Er2MgGa
_cell_length_a 7.250
_cell_length_b 7.250
_cell_length_c 7.250
_cell_angle_alpha 90.00
_cell_angle_beta 90.00
_cell_angle_gamma 90.00
_symmetry_space_group_name_H-M 'F m -3 m'
_symmetry_Int_Tables_number 225
_symmetry_space_group_name_Hall '-F 4 2 3'
loop_
_atom_site_label
_atom_site_type_symbol
_atom_site_fract_x
_atom_site_fract_y
_atom_site_fract_z
_atom_site_occupancy
Er1 Er 0.250 0.250 0.250 1
Mg1 Mg 0.000 0.000 0.000 1
Ga1 Ga 0.000 0.000 0.500 1
# - E_form (kJ/mol of formula units) = -125.3
# - total DFT energy (no corrections) (eV per atom) = -3.77

Record 2
# SrSi3Ni | Materials Project | PBE | relaxed
data_SrSi3Ni
_cell_length_a 4.184
_cell_length_b 4.184
_cell_length_c 9.968
_cell_angle_alpha 90.00
_cell_angle_beta 90.00
_cell_angle_gamma 90.00
_symmetry_space_group_name_H-M 'I 4 m m'
_symmetry_Int_Tables_number 107
_symmetry_space_group_name_Hall 'I 4 -2'
loop_
_atom_site_label
_atom_site_type_symbol
_atom_site_fract_x
_atom_site_fract_y
_atom_site_fract_z
_atom_site_occupancy
Sr1 Sr 0.000 0.000 0.000 1
Si1 Si 0.000 0.000 0.404 1
Si2 Si 0.000 0.500 0.251 1
Ni1 Ni 0.000 0.000 0.645 1
# - E_form (kJ/mol of formula units) = -217.0
# - total DFT energy (no corrections) (eV per atom) = -5.20

Record 3
# SmMgAg2 | Materials Project | PBE | relaxed
data_SmMgAg2
_cell_length_a 7.109
_cell_length_b 7.109
_cell_length_c 7.109
_cell_angle_alpha 90.00
_cell_angle_beta 90.00
_cell_angle_gamma 90.00
_symmetry_space_group_name_H-M 'F m -3 m'
_symmetry_Int_Tables_number 225
_symmetry_space_group_name_Hall '-F 4 2 3'
loop_
_atom_site_label
_atom_site_type_symbol
_atom_site_fract_x
_atom_site_fract_y
_atom_site_fract_z
_atom_site_occupancy
Sm1 Sm 0.000 0.000 0.000 1
Mg1 Mg 0.000 0.000 0.500 1
Ag1 Ag 0.250 0.250 0.250 1
# - E_form (kJ/mol of formula units) = -117.0
# - total DFT energy (no corrections) (eV per atom) = -3.30

Record 4
# Na3H4AuS4O8 | Materials Project | PBE | relaxed
data_Na3H4AuS4O8
_cell_length_a 5.510
_cell_length_b 11.608
_cell_length_c 18.430
_cell_angle_alpha 90.00
_cell_angle_beta 97.88
_cell_angle_gamma 90.00
_symmetry_space_group_name_H-M 'P 1 21/c 1'
_symmetry_Int_Tables_number 14
loop_
_symmetry_equiv_pos_as_xyz
'x,y,z'
'-x,-y,-z'
'-x,y+1/2,-z+1/2'
'x,-y+1/2,z+1/2'
loop_
_atom_site_label
_atom_site_type_symbol
_atom_site_fract_x
_atom_site_fract_y
_atom_site_fract_z
_atom_site_occupancy
Na1 Na 0.155 0.176 0.284 1
Na2 Na 0.183 0.587 0.875 1
Na3 Na 0.260 0.602 0.087 1
H1 H 0.027 0.194 0.131 1
H2 H 0.126 0.679 0.626 1
H3 H 0.222 0.672 0.341 1
H4 H 0.308 0.705 0.698 1
Au1 Au 0.352 0.065 0.929 1
S1 S 0.147 0.173 0.006 1
S2 S 0.282 0.160 0.500 1
S3 S 0.379 0.035 0.742 1
S4 S 0.474 0.040 0.158 1
O1 O 0.077 0.723 0.334 1
O2 O 0.120 0.002 0.722 1
O3 O 0.157 0.095 0.553 1
O4 O 0.175 0.739 0.663 1
O5 O 0.206 0.117 0.424 1
O6 O 0.415 0.161 0.747 1
O7 O 0.449 0.657 0.982 1
O8 O 0.467 0.018 0.310 1
# - energy with MP2020 corrections (eV per atom) = -5.347
# - E_form (kJ/mol of formula units) = -2893.7
# - total DFT energy (no corrections) (eV per atom) = -5.07

Record 5
# Na3Sr14La3Ti20O60 | Materials Project | PBE | relaxed
data_Na3Sr14La3Ti20O60
_cell_length_a 7.848
_cell_length_b 7.848
_cell_length_c 39.395
_cell_angle_alpha 90.00
_cell_angle_beta 90.00
_cell_angle_gamma 90.00
_symmetry_space_group_name_H-M 'C m m 2'
_symmetry_Int_Tables_number 35
loop_
_symmetry_equiv_pos_as_xyz
'x,y,z'
'-x,-y,z'
'-x,y,z'
'x,-y,z'
'x+1/2,y+1/2,z'
'-x+1/2,-y+1/2,z'
'-x+1/2,y+1/2,z'
'x+1/2,-y+1/2,z'
loop_
_atom_site_label
_atom_site_type_symbol
_atom_site_fract_x
_atom_site_fract_y
_atom_site_fract_z
_atom_site_occupancy
Na1 Na 0.000 0.000 0.000 1
Na2 Na 0.000 0.000 0.302 1
Na3 Na 0.000 0.500 0.203 1
Sr1 Sr 0.000 0.000 0.102 1
Sr2 Sr 0.000 0.000 0.402 1
Sr3 Sr 0.000 0.000 0.502 1
Sr4 Sr 0.000 0.000 0.602 1
Sr5 Sr 0.000 0.000 0.702 1
Sr6 Sr 0.000 0.000 0.803 1
Sr7 Sr 0.000 0.000 0.904 1
Sr8 Sr 0.000 0.500 0.001 1
Sr9 Sr 0.000 0.500 0.402 1
Sr10 Sr 0.000 0.500 0.502 1
Sr11 Sr 0.000 0.500 0.602 1
Sr12 Sr 0.000 0.500 0.702 1
Sr13 Sr 0.000 0.500 0.803 1
Sr14 Sr 0.000 0.500 0.903 1
La1 La 0.000 0.000 0.204 1
La2 La 0.000 0.500 0.101 1
La3 La 0.000 0.500 0.302 1
Ti1 Ti 0.250 0.250 0.051 1
Ti2 Ti 0.250 0.250 0.153 1
Ti3 Ti 0.250 0.250 0.252 1
Ti4 Ti 0.250 0.250 0.352 1
Ti5 Ti 0.250 0.250 0.452 1
Ti6 Ti 0.250 0.250 0.553 1
Ti7 Ti 0.250 0.250 0.653 1
Ti8 Ti 0.250 0.250 0.753 1
Ti9 Ti 0.250 0.250 0.853 1
Ti10 Ti 0.250 0.250 0.953 1
O1 O 0.000 0.223 0.251 1
O2 O 0.000 0.236 0.451 1
O3 O 0.000 0.237 0.652 1
O4 O 0.000 0.237 0.852 1
O5 O 0.000 0.242 0.055 1
O6 O 0.000 0.263 0.552 1
O7 O 0.000 0.263 0.752 1
O8 O 0.000 0.264 0.952 1
O9 O 0.000 0.273 0.151 1
O10 O 0.000 0.275 0.350 1
O11 O 0.221 0.000 0.153 1
O12 O 0.225 0.500 0.252 1
O13 O 0.229 0.500 0.055 1
O14 O 0.237 0.000 0.552 1
O15 O 0.237 0.000 0.752 1
O16 O 0.237 0.500 0.451 1
O17 O 0.237 0.500 0.652 1
O18 O 0.237 0.500 0.852 1
O19 O 0.238 0.000 0.351 1
O20 O 0.240 0.000 0.952 1
O21 O 0.250 0.250 0.003 1
O22 O 0.250 0.250 0.103 1
O23 O 0.250 0.250 0.202 1
O24 O 0.250 0.250 0.301 1
O25 O 0.250 0.250 0.401 1
O26 O 0.250 0.250 0.501 1
O27 O 0.250 0.250 0.602 1
O28 O 0.250 0.250 0.702 1
O29 O 0.250 0.250 0.802 1
O30 O 0.250 0.250 0.902 1
# - energy with MP2020 corrections (eV per atom) = -8.487
# - E_form (kJ/mol of formula units) = -33908.7
# - total DFT energy (no corrections) (eV per atom) = -8.07

Record 6
# NaNbAl3P3S3O24 | Materials Project | PBE | relaxed
data_NaNbAl3P3S3O24
_cell_length_a 8.434
_cell_length_b 8.437
_cell_length_c 22.004
_cell_angle_alpha 89.63
_cell_angle_beta 89.56
_cell_angle_gamma 60.20
_symmetry_space_group_name_H-M 'P 1'
_symmetry_Int_Tables_number 1
loop_
_symmetry_equiv_pos_as_xyz
'x,y,z'
loop_
_atom_site_label
_atom_site_type_symbol
_atom_site_fract_x
_atom_site_fract_y
_atom_site_fract_z
_atom_site_occupancy
Na1 Na 0.000 0.000 0.000 1
Na2 Na 0.012 0.988 0.498 1
Na3 Na 0.347 0.324 0.835 1
Nb1 Nb 0.012 0.982 0.649 1
Nb2 Nb 0.329 0.327 0.192 1
Nb3 Nb 0.665 0.652 0.309 1
Al1 Al 0.005 0.996 0.147 1
Al2 Al 0.010 0.984 0.354 1
Al3 Al 0.337 0.322 0.479 1
Al4 Al 0.341 0.321 0.980 1
Al5 Al 0.348 0.314 0.689 1
Al6 Al 0.655 0.668 0.523 1
Al7 Al 0.662 0.657 0.814 1
Al8 Al 0.680 0.641 0.020 1
Al9 Al 0.993 0.992 0.854 1
P1 P 0.002 0.722 0.251 1
P2 P 0.045 0.323 0.080 1
P3 P 0.276 0.990 0.251 1
P4 P 0.299 0.692 0.757 1
P5 P 0.348 0.042 0.583 1
P6 P 0.374 0.657 0.422 1
P7 P 0.671 0.368 0.918 1
P8 P 0.709 0.988 0.756 1
P9 P 0.732 0.257 0.251 1
S1 S 0.004 0.285 0.754 1
S2 S 0.049 0.600 0.583 1
S3 S 0.338 0.618 0.081 1
S4 S 0.384 0.943 0.918 1
S5 S 0.617 0.332 0.583 1
S6 S 0.631 0.028 0.081 1
S7 S 0.671 0.949 0.420 1
S8 S 0.958 0.656 0.918 1
S9 S 0.962 0.366 0.421 1
O1 O 0.028 0.791 0.588 1
O2 O 0.030 0.150 0.090 1
O3 O 0.037 0.794 0.309 1
O4 O 0.042 0.162 0.807 1
O5 O 0.131 0.498 0.639 1
O6 O 0.137 0.352 0.139 1
O7 O 0.142 0.491 0.926 1
O8 O 0.143 0.349 0.428 1
O9 O 0.166 0.525 0.529 1
O10 O 0.167 0.790 0.809 1
O11 O 0.168 0.025 0.309 1
O12 O 0.169 0.300 0.744 1
O13 O 0.170 0.526 0.243 1
O14 O 0.171 0.020 0.591 1
O15 O 0.171 0.797 0.090 1
O16 O 0.176 0.289 0.026 1
O17 O 0.187 0.829 0.412 1
O18 O 0.200 0.962 0.911 1
O19 O 0.203 0.955 0.194 1
O20 O 0.210 0.817 0.697 1
O21 O 0.305 0.530 0.029 1
O22 O 0.307 0.162 0.527 1
O23 O 0.308 0.155 0.244 1
O24 O 0.309 0.510 0.742 1
O25 O 0.360 0.486 0.430 1
O26 O 0.363 0.129 0.925 1
O27 O 0.367 0.130 0.640 1
O28 O 0.372 0.503 0.137 1
O29 O 0.466 0.831 0.973 1
O30 O 0.468 0.692 0.475 1
O31 O 0.473 0.825 0.259 1
O32 O 0.482 0.679 0.762 1
O33 O 0.497 0.626 0.364 1
O34 O 0.498 0.865 0.864 1
O35 O 0.499 0.348 0.927 1
O36 O 0.499 0.638 0.073 1
O37 O 0.509 0.128 0.428 1
O38 O 0.510 0.360 0.638 1
O39 O 0.511 0.851 0.574 1
O40 O 0.518 0.111 0.138 1
O41 O 0.524 0.159 0.744 1
O42 O 0.536 0.291 0.242 1
O43 O 0.539 0.295 0.529 1
O44 O 0.546 0.151 0.029 1
O45 O 0.639 0.488 0.861 1
O46 O 0.641 0.867 0.365 1
O47 O 0.643 0.490 0.574 1
O48 O 0.645 0.850 0.073 1
O49 O 0.697 0.817 0.764 1
O50 O 0.704 0.454 0.974 1
O51 O 0.706 0.454 0.259 1
O52 O 0.708 0.828 0.474 1
O53 O 0.800 0.029 0.808 1
O54 O 0.804 0.164 0.589 1
O55 O 0.809 0.153 0.310 1
O56 O 0.813 0.011 0.090 1
O57 O 0.832 0.959 0.697 1
O58 O 0.836 0.968 0.413 1
O59 O 0.837 0.689 0.260 1
O60 O 0.841 0.186 0.194 1
O61 O 0.843 0.454 0.474 1
O62 O 0.843 0.462 0.761 1
O63 O 0.843 0.691 0.973 1
O64 O 0.844 0.176 0.909 1
O65 O 0.861 0.494 0.073 1
O66 O 0.867 0.623 0.574 1
O67 O 0.877 0.625 0.863 1
O68 O 0.882 0.479 0.365 1
O69 O 0.972 0.202 0.697 1
O70 O 0.972 0.828 0.193 1
O71 O 0.977 0.185 0.413 1
O72 O 0.980 0.820 0.911 1
# - energy with MP2020 corrections (eV per atom) = -7.479
# - E_form (kJ/mol of formula units) = -8847.0
# - total DFT energy (no corrections) (eV per atom) = -7.01